a.
MnP2O7: optimized geometry, PBE+U.

Unit cell a=7.908 b=15.709 c=7.812 alpha=90.00 beta=91.25 gamma=90.00
Space group P2_1/c (No. 14)
Symmetry-distinct sites (fractional):
Mn 0.152 0.134 0.010 (multiplicity 4)
Mn 0.341 0.626 0.980 (multiplicity 4)
P 0.042 0.172 0.609 (multiplicity 4)
P 0.219 0.571 0.370 (multiplicity 4)
P 0.276 0.066 0.402 (multiplicity 4)
P 0.463 0.678 0.599 (multiplicity 4)
O 0.020 0.155 0.800 (multiplicity 4)
O 0.064 0.630 0.374 (multiplicity 4)
O 0.123 0.089 0.526 (multiplicity 4)
O 0.130 0.684 0.982 (multiplicity 4)
O 0.160 0.246 0.564 (multiplicity 4)
O 0.178 0.013 0.956 (multiplicity 4)
O 0.251 0.528 0.859 (multiplicity 4)
O 0.268 0.119 0.237 (multiplicity 4)
O 0.285 0.565 0.188 (multiplicity 4)
O 0.354 0.148 0.880 (multiplicity 4)
O 0.363 0.671 0.761 (multiplicity 4)
O 0.379 0.614 0.465 (multiplicity 4)
O 0.433 0.082 0.513 (multiplicity 4)
O 0.457 0.730 0.046 (multiplicity 4)

The size of the total moment comes out at 0.300 μB/atom.

---

b.
MnP2O7: optimized geometry, PBE+U.

Unit cell a=4.761 b=7.833 c=6.899 alpha=90.00 beta=106.07 gamma=90.00
Space group P2_1 (No. 4)
Symmetry-distinct sites (fractional):
Mn 0.219 0.000 0.228 (multiplicity 2)
P 0.230 0.733 0.602 (multiplicity 2)
P 0.390 0.320 0.009 (multiplicity 2)
O 0.046 0.185 0.337 (multiplicity 2)
O 0.134 0.835 0.407 (multiplicity 2)
O 0.151 0.455 0.961 (multiplicity 2)
O 0.279 0.137 0.017 (multiplicity 2)
O 0.410 0.819 0.131 (multiplicity 2)
O 0.418 0.866 0.765 (multiplicity 2)
O 0.421 0.576 0.593 (multiplicity 2)

For the piezoelectric modulus e_max, the calculation gives 0.3 C/m2.

---

c.
MnP2O7: optimized geometry, PBE+U.

Unit cell a=6.217 b=6.420 c=6.864 alpha=87.80 beta=66.80 gamma=83.76
Space group P-1 (No. 2)
Symmetry-distinct sites (fractional):
Mn 0.095 0.144 0.286 (multiplicity 2)
P 0.226 0.629 0.261 (multiplicity 2)
P 0.340 0.888 0.854 (multiplicity 2)
O 0.058 0.827 0.382 (multiplicity 2)
O 0.073 0.453 0.269 (multiplicity 2)
O 0.217 0.843 0.710 (multiplicity 2)
O 0.228 0.089 0.986 (multiplicity 2)
O 0.325 0.700 0.016 (multiplicity 2)
O 0.401 0.102 0.291 (multiplicity 2)
O 0.423 0.568 0.330 (multiplicity 2)

The size of the total moment comes out at 0.300 μB/atom.

---

d.
MnP2O7: optimized geometry, PBE+U.

Unit cell a=9.460 b=8.032 c=13.155 alpha=90.00 beta=109.95 gamma=90.00
Space group C2/c (No. 15)
Symmetry-distinct sites (fractional):
Mn 0.144 0.234 0.143 (multiplicity 8)
P 0.126 0.040 0.930 (multiplicity 8)
P 0.166 0.416 0.364 (multiplicity 8)
O 0.015 0.398 0.381 (multiplicity 8)
O 0.017 0.044 0.145 (multiplicity 8)
O 0.095 0.193 0.990 (multiplicity 8)
O 0.181 0.407 0.824 (multiplicity 8)
O 0.200 0.274 0.298 (multiplicity 8)
O 0.206 0.099 0.519 (multiplicity 8)
O 0.227 0.082 0.865 (multiplicity 8)

The size of the total moment comes out at 0.300 μB/atom.

---

Most stable pick: b. Distance to second place: 23 meV/atom.

---

a.
Li9Mn2Co5O16: optimized geometry, PBE+U.

Unit cell a=10.268 b=2.905 c=10.342 alpha=90.00 beta=110.06 gamma=90.00
Space group Pm (No. 6)
Symmetry-distinct sites (fractional):
Li 0.000 0.000 0.000 (multiplicity 1)
Li 0.001 0.000 0.467 (multiplicity 1)
Li 0.240 0.500 0.480 (multiplicity 1)
Li 0.243 0.500 0.986 (multiplicity 1)
Li 0.488 0.000 0.476 (multiplicity 1)
Li 0.496 0.000 0.985 (multiplicity 1)
Li 0.751 0.500 0.476 (multiplicity 1)
Li 0.752 0.500 0.988 (multiplicity 1)
Li 0.997 0.500 0.232 (multiplicity 1)
Mn 0.497 0.500 0.232 (multiplicity 1)
Mn 0.746 0.000 0.730 (multiplicity 1)
Co 0.001 0.500 0.732 (multiplicity 1)
Co 0.229 0.000 0.239 (multiplicity 1)
Co 0.250 0.000 0.734 (multiplicity 1)
Co 0.494 0.500 0.732 (multiplicity 1)
Co 0.765 0.000 0.225 (multiplicity 1)
O 0.112 0.000 0.845 (multiplicity 1)
O 0.126 0.500 0.619 (multiplicity 1)
O 0.133 0.000 0.354 (multiplicity 1)
O 0.133 0.500 0.114 (multiplicity 1)
O 0.363 0.500 0.852 (multiplicity 1)
O 0.374 0.500 0.339 (multiplicity 1)
O 0.377 0.000 0.619 (multiplicity 1)
O 0.388 0.000 0.122 (multiplicity 1)
O 0.606 0.000 0.345 (multiplicity 1)
O 0.621 0.500 0.125 (multiplicity 1)
O 0.622 0.000 0.838 (multiplicity 1)
O 0.639 0.500 0.618 (multiplicity 1)
O 0.857 0.500 0.841 (multiplicity 1)
O 0.860 0.000 0.109 (multiplicity 1)
O 0.860 0.500 0.350 (multiplicity 1)
O 0.872 0.000 0.625 (multiplicity 1)

The size of the total moment comes out at 0.437 μB/atom.

---

b.
Li9Mn2Co5O16: optimized geometry, PBE+U.

Unit cell a=5.887 b=5.896 c=8.092 alpha=90.73 beta=90.91 gamma=93.14
Space group P-1 (No. 2)
Symmetry-distinct sites (fractional):
Li 0.000 0.000 0.000 (multiplicity 1)
Li 0.000 0.000 0.500 (multiplicity 1)
Li 0.000 0.500 0.000 (multiplicity 1)
Li 0.245 0.246 0.258 (multiplicity 2)
Li 0.245 0.754 0.257 (multiplicity 2)
Li 0.500 0.000 0.500 (multiplicity 1)
Li 0.500 0.500 0.500 (multiplicity 1)
Mn 0.245 0.756 0.747 (multiplicity 2)
Co 0.000 0.500 0.500 (multiplicity 1)
Co 0.245 0.254 0.746 (multiplicity 2)
Co 0.500 0.000 0.000 (multiplicity 1)
Co 0.500 0.500 0.000 (multiplicity 1)
O 0.002 0.522 0.741 (multiplicity 2)
O 0.034 0.993 0.752 (multiplicity 2)
O 0.227 0.270 0.518 (multiplicity 2)
O 0.244 0.739 0.513 (multiplicity 2)
O 0.262 0.765 0.992 (multiplicity 2)
O 0.266 0.265 0.985 (multiplicity 2)
O 0.468 0.513 0.761 (multiplicity 2)
O 0.496 0.984 0.759 (multiplicity 2)

The size of the total moment comes out at 0.375 μB/atom.

---

c.
Li9Mn2Co5O16: optimized geometry, PBE+U.

Unit cell a=21.155 b=2.899 c=10.265 alpha=90.00 beta=113.46 gamma=90.00
Space group C2/m (No. 12)
Symmetry-distinct sites (fractional):
Li 0.000 0.000 0.000 (multiplicity 2)
Li 0.117 0.500 0.176 (multiplicity 4)
Li 0.119 0.000 0.429 (multiplicity 4)
Li 0.121 0.000 0.932 (multiplicity 4)
Li 0.124 0.500 0.689 (multiplicity 4)
Mn 0.250 0.000 0.370 (multiplicity 4)
Co 0.000 0.000 0.500 (multiplicity 2)
Co 0.002 0.500 0.765 (multiplicity 4)
Co 0.248 0.500 0.119 (multiplicity 4)
O 0.055 0.500 0.459 (multiplicity 4)
O 0.057 0.000 0.709 (multiplicity 4)
O 0.059 0.000 0.221 (multiplicity 4)
O 0.060 0.500 0.948 (multiplicity 4)
O 0.193 0.000 0.652 (multiplicity 4)
O 0.194 0.000 0.151 (multiplicity 4)
O 0.194 0.500 0.402 (multiplicity 4)
O 0.195 0.500 0.901 (multiplicity 4)

The size of the total moment comes out at 0.273 μB/atom.

---

Most stable pick: b. Distance to second place: 42 meV/atom.